DFT (r2SCAN) results for a relaxed HoAlB4 crystal.

Output
* symmetry: Pbam (55)
* volume: 10.06 Å³/atom
* formation energy from the elements: -0.55 eV per atom

Cell lengths 3.540, 5.932, 11.503 Å; angles 90.00, 90.00, 90.00 degrees
Sites, in units of the cell vectors:
B (0.000, 0.473, 0.692)
B (0.000, 0.866, 0.531)
B (0.000, 0.134, 0.469)
B (0.000, 0.789, 0.687)
B (0.000, 0.211, 0.313)
Al (0.500, 0.363, 0.410)
B (0.000, 0.886, 0.953)
Ho (0.500, 0.871, 0.350)
B (0.000, 0.614, 0.453)
B (0.000, 0.366, 0.969)
B (0.000, 0.527, 0.308)
B (0.000, 0.634, 0.031)
B (0.000, 0.386, 0.547)
B (0.000, 0.289, 0.813)
Ho (0.500, 0.129, 0.650)
B (0.000, 0.114, 0.047)
Ho (0.500, 0.371, 0.150)
B (0.000, 0.711, 0.187)
B (0.000, 0.973, 0.808)
Ho (0.500, 0.629, 0.850)
B (0.000, 0.027, 0.192)
Al (0.500, 0.863, 0.090)
Al (0.500, 0.637, 0.590)
Al (0.500, 0.137, 0.910)